(1)
Here is a geometry-optimized RbFeO2 structure from the Materials Project. Energies are from PBE with a Hubbard U.

Cell: 5.900 5.900 8.250 Å, 90.00 90.00 90.00°
Space group P4_12_12 (No. 92)
Unique sites:
Rb  0.223  0.223  0.000 (multiplicity 4)
Fe  0.211  0.211  0.500 (multiplicity 4)
O  0.092  0.756  0.928 (multiplicity 8)

Properties
- DFT formation energy (eV/atom) = -1.77
- theoretical density (g/cm3) = 4.01
- piezoelectric modulus e_max (C/m2) = 0.03

---

(2)
Here is a geometry-optimized LiVFeO4 structure from the Materials Project. Energies are from PBE with a Hubbard U.

Cell: 5.242 5.944 7.902 Å, 101.14 109.19 91.04°
Space group P1 (No. 1)
Unique sites:
Li  0.000  0.000  0.000 (multiplicity 1)
Li  0.001  0.837  0.335 (multiplicity 1)
Li  0.989  0.644  0.658 (multiplicity 1)
V  0.458  0.565  0.322 (multiplicity 1)
V  0.494  0.401  0.663 (multiplicity 1)
V  0.511  0.245  0.998 (multiplicity 1)
Fe  0.496  0.743  0.995 (multiplicity 1)
Fe  0.501  0.906  0.663 (multiplicity 1)
Fe  0.522  0.073  0.338 (multiplicity 1)
O  0.270  0.616  0.503 (multiplicity 1)
O  0.277  0.786  0.176 (multiplicity 1)
O  0.283  0.963  0.853 (multiplicity 1)
O  0.293  0.449  0.823 (multiplicity 1)
O  0.295  0.280  0.174 (multiplicity 1)
O  0.300  0.105  0.504 (multiplicity 1)
O  0.687  0.526  0.151 (multiplicity 1)
O  0.695  0.384  0.501 (multiplicity 1)
O  0.707  0.202  0.827 (multiplicity 1)
O  0.712  0.834  0.472 (multiplicity 1)
O  0.714  0.706  0.817 (multiplicity 1)
O  0.722  0.033  0.152 (multiplicity 1)

Properties
- spin magnetization (μB/f.u.) = 6.000
- excess energy over the best structure of this formula in the dataset (eV/atom) = 0.091
- DFT formation energy (eV/atom) = -2.12
- theoretical density (g/cm3) = 3.90

---

(3)
Here is a geometry-optimized Ga2WO6 structure from the Materials Project. Energies are from PBE with a Hubbard U.

Cell: 4.569 16.882 5.000 Å, 90.00 90.00 90.00°
Space group Pbcn (No. 60)
Unique sites:
Ga  0.000  0.054  0.250 (multiplicity 4)
Ga  0.000  0.275  0.750 (multiplicity 4)
W  0.000  0.385  0.250 (multiplicity 4)
O  0.226  0.297  0.078 (multiplicity 8)
O  0.230  0.374  0.572 (multiplicity 8)
O  0.234  0.040  0.592 (multiplicity 8)

Properties
- spin magnetization (μB/f.u.) = 0.000
- excess energy over the best structure of this formula in the dataset (eV/atom) = 0.000
- DFT formation energy (eV/atom) = -2.19
- theoretical density (g/cm3) = 7.22

---

(4)
Here is a geometry-optimized CrBO3 structure from the Materials Project. Energies are from PBE with a Hubbard U.

Cell: 4.6476 4.6476 14.5840 Å, 90.00 90.00 120.00°
Space group R-3c (No. 167, hexagonal axes)
Unique sites:
Cr  0.0000  0.0000  0.0000 (multiplicity 6)
B  0.0000  0.0000  0.2500 (multiplicity 6)
O  0.0000  0.2980  0.2500 (multiplicity 18)

Properties
- DFT formation energy (eV/atom) = -2.62
- theoretical density (g/cm3) = 4.05